1.
Crystalline Mg6TiCo at its relaxed geometry. Source: the Materials Project database, functional PBE.

Computed properties:
As for the volume: 19.239 Å³ per atom. The calculation puts the energy at -2.88 eV/atom. For the energy of formation, the calculation gives 18.67 kJ per mole of atoms. Its polymorph energy (0 for the lowest one) is 50 meV per atom.

Cell lengths 4.8396, 5.8528, 10.8674 Å; angles 90.00, 90.00, 90.00 degrees
With the nearest neighbours (Å) after each atom.
Fractional positions:
Mg  0.5000  0.2513  0.4230  8 Mg 2.91-3.07, 2 Co 3.04-3.13, 2 Ti 3.08-3.09
Mg  0.5000  0.7487  0.4230  8 Mg 2.91-3.07, 2 Co 3.04-3.13, 2 Ti 3.08-3.09
Mg  0.0000  0.7551  0.0858  7 Mg 2.87-3.17, 2 Co 2.95, 2 Ti 3.00
Mg  0.0000  0.2449  0.0858  7 Mg 2.87-3.17, 2 Co 2.95, 2 Ti 3.00
Mg  0.0000  0.0000  0.3144  8 Mg 2.87-3.07, 2 Co 2.89
Mg  0.0000  0.5000  0.3259  10 Mg 2.93-3.17, 2 Ti 2.93
Mg  0.5000  0.7513  0.9230  8 Mg 2.91-3.07, 2 Co 3.04-3.13, 2 Ti 3.08-3.09
Mg  0.5000  0.2487  0.9230  8 Mg 2.91-3.07, 2 Co 3.04-3.13, 2 Ti 3.08-3.09
Mg  0.0000  0.2551  0.5858  7 Mg 2.87-3.17, 2 Co 2.95, 2 Ti 3.00
Mg  0.0000  0.7449  0.5858  7 Mg 2.87-3.17, 2 Co 2.95, 2 Ti 3.00
Mg  0.0000  0.5000  0.8144  8 Mg 2.87-3.07, 2 Co 2.89
Mg  0.0000  0.0000  0.8259  10 Mg 2.93-3.17, 2 Ti 2.93
Ti  0.5000  0.5000  0.1735  2 Co 2.93, 10 Mg 2.93-3.09
Ti  0.5000  0.0000  0.6735  2 Co 2.93, 10 Mg 2.93-3.09
Co  0.5000  0.0000  0.1687  10 Mg 2.89-3.13, 2 Ti 2.93
Co  0.5000  0.5000  0.6687  10 Mg 2.89-3.13, 2 Ti 2.93

***

2.
Crystalline Tl2S5 at its relaxed geometry. Source: the Materials Project database, functional PBE.

Computed properties:
Its MP2020-corrected energy is -4.131 eV/atom. As for the volume: 29.234 Å³ per atom. For the maximum piezoelectric response, the calculation gives 0.16 C/m². The calculation puts the energy at -3.77 eV/atom. For the energy of formation, the calculation gives -48.41 kJ per mole of atoms.

Cell lengths 6.8599, 6.9871, 17.0776 Å; angles 90.00, 90.00, 90.00 degrees
With the nearest neighbours (Å) after each atom.
Fractional positions:
Tl  0.4307  0.1916  0.1477  4 S 3.10-3.42
Tl  0.9307  0.3084  0.8523  4 S 3.10-3.42
Tl  0.5693  0.6916  0.3523  4 S 3.10-3.42
Tl  0.0693  0.8084  0.6477  4 S 3.10-3.42
Tl  0.2019  0.6102  0.0320  4 S 3.05-3.38
Tl  0.7019  0.8898  0.9680  4 S 3.05-3.38
Tl  0.7981  0.1102  0.4680  4 S 3.05-3.38
Tl  0.2981  0.3898  0.5320  4 S 3.05-3.38
S  0.9553  0.7474  0.8302  1 S 2.06
S  0.4553  0.7526  0.1698  1 S 2.06
S  0.0447  0.2474  0.6698  1 S 2.06
S  0.5447  0.2526  0.3302  1 S 2.06
S  0.2403  0.8176  0.8556  2 S 2.06-2.07
S  0.7403  0.6824  0.1444  2 S 2.06-2.07
S  0.7597  0.3176  0.6444  2 S 2.06-2.07
S  0.2597  0.1824  0.3556  2 S 2.06-2.07
S  0.9236  0.5781  0.4746  1 S 2.05
S  0.4236  0.9219  0.5254  1 S 2.05
S  0.0764  0.0781  0.0254  1 S 2.05
S  0.5764  0.4219  0.9746  1 S 2.05
S  0.0772  0.6282  0.3734  2 S 2.05-2.10
S  0.5772  0.8718  0.6266  2 S 2.05-2.10
S  0.9228  0.1282  0.1266  2 S 2.05-2.10
S  0.4228  0.3718  0.8734  2 S 2.05-2.10
S  0.0742  0.3797  0.3046  2 S 2.07-2.10
S  0.5742  0.1203  0.6954  2 S 2.07-2.10
S  0.9258  0.8797  0.1954  2 S 2.07-2.10
S  0.4258  0.6203  0.8046  2 S 2.07-2.10

***

3.
Crystalline Li3Ti2P3O12 at its relaxed geometry. Source: the Materials Project database, functional PBE.

Computed properties:
Its MP2020-corrected energy is -7.698 eV/atom. As for the volume: 11.729 Å³ per atom. The calculation puts the energy at -7.29 eV/atom. For the energy of formation, the calculation gives -274.14 kJ per mole of atoms. Its polymorph energy (0 for the lowest one) is 37 meV per atom.

Cell lengths 8.4686, 8.4686, 8.6936 Å; angles 62.52, 62.52, 63.66 degrees
With the nearest neighbours (Å) after each atom.
Fractional positions:
Li  0.8689  0.7419  0.6609  1 O 1.99
Li  0.7419  0.8689  0.1609  1 O 1.99
Li  0.5000  0.0000  0.5000  6 O 2.22-2.32
Li  0.2581  0.1311  0.8391  1 O 1.99
Li  0.0000  0.5000  0.0000  6 O 2.22-2.32
Li  0.1311  0.2581  0.3391  1 O 1.99
Ti  0.8548  0.3598  0.8541  6 O 1.94-2.10
Ti  0.3598  0.8548  0.3541  6 O 1.94-2.10
Ti  0.6402  0.1452  0.6459  6 O 1.94-2.10
Ti  0.1452  0.6402  0.1459  6 O 1.94-2.10
P  0.5525  0.7491  0.9610  4 O 1.53-1.57
P  0.9490  0.0510  0.2500  4 O 1.56
P  0.7491  0.5525  0.4610  4 O 1.53-1.57
P  0.2509  0.4475  0.5390  4 O 1.53-1.57
P  0.0510  0.9490  0.7500  4 O 1.56
P  0.4475  0.2509  0.0390  4 O 1.53-1.57
O  0.9798  0.8864  0.1949  1 P 1.56
O  0.8864  0.9798  0.6949  1 P 1.56
O  0.5474  0.9109  0.7741  1 P 1.57
O  0.7479  0.6050  0.9193  1 P 1.56
O  0.5363  0.8130  0.1084  1 P 1.54
O  0.3896  0.6770  0.0214  1 P 1.53
O  0.9413  0.2352  0.0852  1 P 1.56
O  0.9109  0.5474  0.2741  1 P 1.57
O  0.6050  0.7479  0.4193  1 P 1.56
O  0.8130  0.5363  0.6084  1 P 1.54
O  0.7648  0.0587  0.4148  1 P 1.56
O  0.6770  0.3896  0.5214  1 P 1.53
O  0.3230  0.6104  0.4786  1 P 1.53
O  0.2352  0.9413  0.5852  1 P 1.56
O  0.1870  0.4637  0.3916  1 P 1.54
O  0.3950  0.2521  0.5807  1 P 1.56
O  0.0891  0.4526  0.7259  1 P 1.57
O  0.0587  0.7648  0.9148  1 P 1.56
O  0.6104  0.3230  0.9786  1 P 1.53
O  0.4637  0.1870  0.8916  1 P 1.54
O  0.2521  0.3950  0.0807  1 P 1.56
O  0.4526  0.0891  0.2259  1 P 1.57
O  0.1136  0.0202  0.3051  1 P 1.56
O  0.0202  0.1136  0.8051  1 P 1.56

***

4.
Crystalline CsTmBr3 at its relaxed geometry. Source: the Materials Project database, functional PBE.

Computed properties:
Its MP2020-corrected energy is -3.946 eV/atom. As for the volume: 35.234 Å³ per atom. The calculation puts the energy at -3.63 eV/atom. For the energy of formation, the calculation gives -182.29 kJ per mole of atoms.

Cell lengths 7.9165, 7.9165, 5.6221 Å; angles 90.00, 90.00, 90.00 degrees
With the nearest neighbours (Å) after each atom.
Fractional positions:
Cs  0.5000  0.0000  0.0000  12 Br 3.81-4.13
Cs  0.0000  0.5000  0.0000  12 Br 3.81-4.13
Tm  0.0000  0.0000  0.5000  6 Br 2.81
Tm  0.5000  0.5000  0.5000  6 Br 2.81
Br  0.7298  0.2298  0.5000  2 Tm 2.81
Br  0.2702  0.7702  0.5000  2 Tm 2.81
Br  0.2298  0.2702  0.5000  2 Tm 2.81
Br  0.7702  0.7298  0.5000  2 Tm 2.81
Br  0.0000  0.0000  0.0000  2 Tm 2.81
Br  0.5000  0.5000  0.0000  2 Tm 2.81

***

5.
Crystalline La11Hg45 at its relaxed geometry. Source: the Materials Project database, functional PBE.

Computed properties:
As for the volume: 25.597 Å³ per atom. The calculation puts the energy at -1.55 eV/atom. For the energy of formation, the calculation gives -32.81 kJ per mole of atoms.

Cell lengths 15.9455, 15.9455, 15.9455 Å; angles 60.00, 60.00, 60.00 degrees
With the nearest neighbours (Å) after each atom.
Fractional positions:
La  0.0000  0.0000  0.0000  14 Hg 3.25-3.49
La  0.0150  0.3301  0.6399  12 Hg 3.24-3.58
La  0.0150  0.0150  0.6399  12 Hg 3.24-3.58
La  0.3301  0.0150  0.6399  12 Hg 3.24-3.58
La  0.0150  0.6399  0.3301  12 Hg 3.24-3.58
La  0.3301  0.6399  0.0150  12 Hg 3.24-3.58
La  0.0150  0.6399  0.0150  12 Hg 3.24-3.58
La  0.6399  0.0150  0.0150  12 Hg 3.24-3.58
La  0.6399  0.3301  0.0150  12 Hg 3.24-3.58
La  0.6399  0.0150  0.3301  12 Hg 3.24-3.58
La  0.3301  0.0150  0.0150  12 Hg 3.24-3.58
La  0.0150  0.0150  0.3301  12 Hg 3.24-3.58
La  0.0150  0.3301  0.0150  12 Hg 3.24-3.58
La  0.2500  0.2500  0.2500  16 Hg 3.41-3.51
La  0.4062  0.4062  0.7815  16 Hg 3.46-3.67
La  0.4062  0.7815  0.4062  16 Hg 3.46-3.67
La  0.7815  0.4062  0.4062  16 Hg 3.46-3.67
La  0.4062  0.4062  0.4062  16 Hg 3.46-3.67
La  0.6616  0.6616  0.0151  10 Hg 3.26-3.45
La  0.6616  0.0151  0.6616  10 Hg 3.26-3.45
La  0.0151  0.6616  0.6616  10 Hg 3.26-3.45
La  0.6616  0.6616  0.6616  10 Hg 3.26-3.45
Hg  0.0831  0.0831  0.7507  4 Hg 3.10-3.11, 4 La 3.24-3.25
Hg  0.0831  0.7507  0.0831  4 Hg 3.10-3.11, 4 La 3.24-3.25
Hg  0.7507  0.0831  0.0831  4 Hg 3.10-3.11, 4 La 3.24-3.25
Hg  0.0831  0.0831  0.0831  4 Hg 3.10-3.11, 4 La 3.24-3.25
Hg  0.9145  0.9145  0.2564  7 Hg 3.14-3.40, 1 La 3.34
Hg  0.9145  0.2564  0.9145  7 Hg 3.14-3.40, 1 La 3.34
Hg  0.2564  0.9145  0.9145  7 Hg 3.14-3.40, 1 La 3.34
Hg  0.9145  0.9145  0.9145  7 Hg 3.14-3.40, 1 La 3.34
Hg  0.1546  0.1546  0.8454  8 Hg 3.09-3.26
Hg  0.8454  0.1546  0.8454  8 Hg 3.09-3.26
Hg  0.1546  0.8454  0.8454  8 Hg 3.09-3.26
Hg  0.8454  0.8454  0.1546  8 Hg 3.09-3.26
Hg  0.1546  0.8454  0.1546  8 Hg 3.09-3.26
Hg  0.8454  0.1546  0.1546  8 Hg 3.09-3.26
Hg  0.3918  0.1997  0.0168  4 Hg 2.87-3.06
Hg  0.3918  0.3918  0.0168  4 Hg 2.87-3.06
Hg  0.1997  0.3918  0.0168  4 Hg 2.87-3.06
Hg  0.3918  0.0168  0.1997  4 Hg 2.87-3.06
Hg  0.1997  0.0168  0.3918  4 Hg 2.87-3.06
Hg  0.3918  0.0168  0.3918  4 Hg 2.87-3.06
Hg  0.0168  0.3918  0.3918  4 Hg 2.87-3.06
Hg  0.0168  0.1997  0.3918  4 Hg 2.87-3.06
Hg  0.0168  0.3918  0.1997  4 Hg 2.87-3.06
Hg  0.1997  0.3918  0.3918  4 Hg 2.87-3.06
Hg  0.3918  0.3918  0.1997  4 Hg 2.87-3.06
Hg  0.3918  0.1997  0.3918  4 Hg 2.87-3.06
Hg  0.1627  0.1627  0.5120  7 Hg 3.11-3.37, 4 La 3.35-3.41
Hg  0.1627  0.5120  0.1627  7 Hg 3.11-3.37, 4 La 3.35-3.41
Hg  0.5120  0.1627  0.1627  7 Hg 3.11-3.37, 4 La 3.35-3.41
Hg  0.1627  0.1627  0.1627  7 Hg 3.11-3.37, 4 La 3.35-3.41
Hg  0.2592  0.6155  0.8661  9 Hg 3.09-3.45, 3 La 3.33-3.46
Hg  0.2592  0.2592  0.8661  9 Hg 3.09-3.45, 3 La 3.33-3.46
Hg  0.6155  0.2592  0.8661  9 Hg 3.09-3.45, 3 La 3.33-3.46
Hg  0.2592  0.8661  0.6155  9 Hg 3.09-3.45, 3 La 3.33-3.46
Hg  0.6155  0.8661  0.2592  9 Hg 3.09-3.45, 3 La 3.33-3.46
Hg  0.2592  0.8661  0.2592  9 Hg 3.09-3.45, 3 La 3.33-3.46
Hg  0.8661  0.2592  0.2592  9 Hg 3.09-3.45, 3 La 3.33-3.46
Hg  0.8661  0.6155  0.2592  9 Hg 3.09-3.45, 3 La 3.33-3.46
Hg  0.8661  0.2592  0.6155  9 Hg 3.09-3.45, 3 La 3.33-3.46
Hg  0.6155  0.2592  0.2592  9 Hg 3.09-3.45, 3 La 3.33-3.46
Hg  0.2592  0.2592  0.6155  9 Hg 3.09-3.45, 3 La 3.33-3.46
Hg  0.2592  0.6155  0.2592  9 Hg 3.09-3.45, 3 La 3.33-3.46
Hg  0.5000  0.5000  0.5000  12 Hg 3.51, 4 La 3.67
Hg  0.6417  0.4501  0.2665  6 Hg 2.93-3.08
Hg  0.6417  0.6417  0.2665  6 Hg 2.93-3.08
Hg  0.4501  0.6417  0.2665  6 Hg 2.93-3.08
Hg  0.6417  0.2665  0.4501  6 Hg 2.93-3.08
Hg  0.4501  0.2665  0.6417  6 Hg 2.93-3.08
Hg  0.6417  0.2665  0.6417  6 Hg 2.93-3.08
Hg  0.2665  0.6417  0.6417  6 Hg 2.93-3.08
Hg  0.2665  0.4501  0.6417  6 Hg 2.93-3.08
Hg  0.2665  0.6417  0.4501  6 Hg 2.93-3.08
Hg  0.4501  0.6417  0.6417  6 Hg 2.93-3.08
Hg  0.6417  0.6417  0.4501  6 Hg 2.93-3.08
Hg  0.6417  0.4501  0.6417  6 Hg 2.93-3.08
Hg  0.5115  0.8370  0.1400  4 Hg 2.87-3.08
Hg  0.5115  0.5115  0.1400  4 Hg 2.87-3.08
Hg  0.8370  0.5115  0.1400  4 Hg 2.87-3.08
Hg  0.5115  0.1400  0.8370  4 Hg 2.87-3.08
Hg  0.8370  0.1400  0.5115  4 Hg 2.87-3.08
Hg  0.5115  0.1400  0.5115  4 Hg 2.87-3.08
Hg  0.1400  0.5115  0.5115  4 Hg 2.87-3.08
Hg  0.1400  0.8370  0.5115  4 Hg 2.87-3.08
Hg  0.1400  0.5115  0.8370  4 Hg 2.87-3.08
Hg  0.8370  0.5115  0.5115  4 Hg 2.87-3.08
Hg  0.5115  0.5115  0.8370  4 Hg 2.87-3.08
Hg  0.5115  0.8370  0.5115  4 Hg 2.87-3.08
Hg  0.7500  0.7500  0.7500  4 Hg 3.06
Hg  0.8283  0.8283  0.5151  8 Hg 3.06-3.37
Hg  0.8283  0.5151  0.8283  8 Hg 3.06-3.37
Hg  0.5151  0.8283  0.8283  8 Hg 3.06-3.37
Hg  0.8283  0.8283  0.8283  8 Hg 3.06-3.37
Hg  0.9114  0.9114  0.5886  4 Hg 2.98-3.12, 2 La 3.26
Hg  0.5886  0.9114  0.5886  4 Hg 2.98-3.12, 2 La 3.26
Hg  0.9114  0.5886  0.5886  4 Hg 2.98-3.12, 2 La 3.26
Hg  0.5886  0.5886  0.9114  4 Hg 2.98-3.12, 2 La 3.26
Hg  0.9114  0.5886  0.9114  4 Hg 2.98-3.12, 2 La 3.26
Hg  0.5886  0.9114  0.9114  4 Hg 2.98-3.12, 2 La 3.26
Hg  0.7639  0.0674  0.4047  5 Hg 3.02-3.30, 3 La 3.32-3.38
Hg  0.7639  0.7639  0.4047  5 Hg 3.02-3.30, 3 La 3.32-3.38
Hg  0.0674  0.7639  0.4047  5 Hg 3.02-3.30, 3 La 3.32-3.38
Hg  0.7639  0.4047  0.0674  5 Hg 3.02-3.30, 3 La 3.32-3.38
Hg  0.0674  0.4047  0.7639  5 Hg 3.02-3.30, 3 La 3.32-3.38
Hg  0.7639  0.4047  0.7639  5 Hg 3.02-3.30, 3 La 3.32-3.38
Hg  0.4047  0.7639  0.7639  5 Hg 3.02-3.30, 3 La 3.32-3.38
Hg  0.4047  0.0674  0.7639  5 Hg 3.02-3.30, 3 La 3.32-3.38
Hg  0.4047  0.7639  0.0674  5 Hg 3.02-3.30, 3 La 3.32-3.38
Hg  0.0674  0.7639  0.7639  5 Hg 3.02-3.30, 3 La 3.32-3.38
Hg  0.7639  0.7639  0.0674  5 Hg 3.02-3.30, 3 La 3.32-3.38
Hg  0.7639  0.0674  0.7639  5 Hg 3.02-3.30, 3 La 3.32-3.38

***

Which formula does entry 1 have?
Mg6TiCo

***

Which value of volume does entry 1 give?
19.239 Å³ per atom